# 1
# Sr6Fe2Ru2O11 (PBE with a Hubbard U, relaxed)
data_Sr6Fe2Ru2O11
_chemical_formula_sum 'Sr12 Fe4 Ru4 O22'
_cell_length_a 5.5103
_cell_length_b 20.6632
_cell_length_c 5.5117
_cell_angle_alpha 90.00
_cell_angle_beta 94.00
_cell_angle_gamma 90.00
_space_group_name_H-M_alt 'C 1 2 1'
_space_group_IT_number 5
_space_group_name_Hall 'C 2y'
loop_
_atom_site_label
_atom_site_type_symbol
_atom_site_fract_x
_atom_site_fract_y
_atom_site_fract_z
Sr1 Sr 0.2369 0.0000 0.2626
Sr2 Sr 0.2429 0.8106 0.2489
Sr3 Sr 0.2443 0.1806 0.2554
Fe1 Fe 0.2472 0.5955 0.2472
Ru1 Ru 0.2384 0.3997 0.2411
O1 O 0.0000 0.0889 0.5000
O2 O 0.0000 0.0916 0.0000
O3 O 0.0000 0.4001 0.5000
O4 O 0.0000 0.5915 0.5000
O5 O 0.0000 0.8989 0.0000
O6 O 0.2195 0.4946 0.2184
O7 O 0.2238 0.6918 0.2237
O8 O 0.2476 0.3027 0.2574
# - total magnetization (μB per formula unit) = 13.999
# - crystal system = monoclinic
# - formation energy (eV/atom) = -2.3152
# - electronic total energy (eV per atom) = -6.505


# 2
# Sr3Fe2RuO9 (PBE with a Hubbard U, relaxed)
data_Sr3Fe2RuO9
_chemical_formula_sum 'Sr3 Fe2 Ru1 O9'
_cell_length_a 3.9098
_cell_length_b 3.9098
_cell_length_c 12.0990
_cell_angle_alpha 90.00
_cell_angle_beta 90.00
_cell_angle_gamma 90.00
_space_group_name_H-M_alt 'P 4/m m m'
_space_group_IT_number 123
_space_group_name_Hall '-P 4 2'
loop_
_atom_site_label
_atom_site_type_symbol
_atom_site_fract_x
_atom_site_fract_y
_atom_site_fract_z
Sr1 Sr 0.0000 0.0000 0.0000
Sr2 Sr 0.0000 0.0000 0.3168
Fe1 Fe 0.5000 0.5000 0.1625
Ru1 Ru 0.5000 0.5000 0.5000
O1 O 0.0000 0.5000 0.1697
O2 O 0.0000 0.5000 0.5000
O3 O 0.5000 0.5000 0.0000
O4 O 0.5000 0.5000 0.3365
# - total magnetization (μB per formula unit) = 9.472
# - crystal system = tetragonal
# - formation energy (eV/atom) = -2.2449
# - electronic total energy (eV per atom) = -6.586


# 3
# Fe2S3O21 (PBE with a Hubbard U, relaxed)
data_Fe2S3O21
_chemical_formula_sum 'Fe8 S12 O84'
_cell_length_a 10.7902
_cell_length_b 10.7902
_cell_length_c 17.1803
_cell_angle_alpha 90.00
_cell_angle_beta 90.00
_cell_angle_gamma 120.00
_space_group_name_H-M_alt 'P -3 1 c'
_space_group_IT_number 163
_space_group_name_Hall '-P 3 2c'
loop_
_atom_site_label
_atom_site_type_symbol
_atom_site_fract_x
_atom_site_fract_y
_atom_site_fract_z
Fe1 Fe 0.0000 0.0000 0.0000
Fe2 Fe 0.3333 0.6667 0.0007
Fe3 Fe 0.3333 0.6667 0.7500
S1 S 0.1680 0.4103 0.8795
O1 O 0.0246 0.3468 0.9136
O2 O 0.0671 0.1755 0.0472
O3 O 0.1032 0.3016 0.6511
O4 O 0.1782 0.5098 0.8152
O5 O 0.1947 0.4926 0.2362
O6 O 0.2020 0.5810 0.0751
O7 O 0.2126 0.4970 0.5607
# - total magnetization (μB per formula unit) = 13.243
# - crystal system = trigonal
# - formation energy (eV/atom) = -0.3999
# - electronic total energy (eV per atom) = -5.222


# 4
# FeSO3 (PBE with a Hubbard U, relaxed)
data_FeSO3
_chemical_formula_sum 'Fe6 S6 O18'
_cell_length_a 7.9297
_cell_length_b 7.9367
_cell_length_c 7.9397
_cell_angle_alpha 109.23
_cell_angle_beta 109.67
_cell_angle_gamma 109.44
_space_group_name_H-M_alt 'P 1'
_space_group_IT_number 1
_space_group_name_Hall 'P 1'
loop_
_atom_site_label
_atom_site_type_symbol
_atom_site_fract_x
_atom_site_fract_y
_atom_site_fract_z
Fe1 Fe 0.0000 0.0000 0.0000
Fe2 Fe 0.0010 0.3770 0.6443
Fe3 Fe 0.1789 0.4994 0.3230
Fe4 Fe 0.3182 0.8195 0.1369
Fe5 Fe 0.6773 0.5564 0.4993
Fe6 Fe 0.8217 0.8776 0.3211
S1 S 0.1729 0.8343 0.6760
S2 S 0.3170 0.2138 0.4928
S3 S 0.3545 0.3955 0.0046
S4 S 0.6454 0.9793 0.6386
S5 S 0.6822 0.1641 0.1503
S6 S 0.8289 0.5425 0.9675
O1 O 0.0530 0.6053 0.1227
O2 O 0.1106 0.1708 0.4913
O3 O 0.1712 0.6251 0.6013
O4 O 0.1708 0.8738 0.8803
O5 O 0.1993 0.3032 0.0719
O6 O 0.2493 0.0552 0.2712
O7 O 0.2794 0.5288 0.9286
O8 O 0.3906 0.4231 0.4935
O9 O 0.4422 0.8160 0.4333
O10 O 0.5590 0.5592 0.2105
O11 O 0.6062 0.9548 0.1509
O12 O 0.7222 0.8451 0.7138
O13 O 0.7494 0.3237 0.3717
O14 O 0.8005 0.0737 0.5723
O15 O 0.8282 0.7504 0.0416
O16 O 0.8313 0.5027 0.7642
O17 O 0.8879 0.2047 0.1525
O18 O 0.9512 0.7747 0.5221
# - total magnetization (μB per formula unit) = 4.000
# - crystal system = triclinic
# - formation energy (eV/atom) = -1.6483
# - electronic total energy (eV per atom) = -6.275